Nb12ZnSe16 | GGA-PBE | relaxed

## Properties
The calculated volume comes out at 623 Å³/cell. The symmetry is P-1 (2). The calculated density is 6.51 g/cm3. The total magnetization comes out at 0.0 μB/f.u.

abc: 6.9720 10.1318 10.7463
angles: 118.04 108.91 90.04
Closest atoms and distances in Å follow each position.
Atoms (fractional coordinates):
Nb1 0.6795 0.6194 0.1080  6 Se 2.61-2.82, 2 Nb 2.91
Nb2 0.1796 0.6199 0.1089  6 Se 2.61-2.81, 2 Nb 2.91-2.92
Nb3 0.8796 0.8911 0.5108  6 Se 2.62-2.81, 2 Nb 2.91
Nb4 0.3822 0.8917 0.5120  6 Se 2.61-2.81, 2 Nb 2.90-2.91
Nb5 0.8161 0.4880 0.3801  6 Se 2.61-2.82, 2 Nb 2.90-2.91
Nb6 0.3145 0.4892 0.3806  6 Se 2.61-2.83, 2 Nb 2.91
Nb7 0.8204 0.3801 0.8911  6 Se 2.61-2.81, 2 Nb 2.91-2.92
Nb8 0.3205 0.3806 0.8920  6 Se 2.61-2.82, 2 Nb 2.91
Nb9 0.6178 0.1083 0.4880  6 Se 2.61-2.81, 2 Nb 2.90-2.91
Nb10 0.1204 0.1089 0.4892  6 Se 2.62-2.81, 2 Nb 2.91
Nb11 0.6855 0.5108 0.6194  6 Se 2.61-2.83, 2 Nb 2.91
Nb12 0.1839 0.5120 0.6199  6 Se 2.61-2.82, 2 Nb 2.90-2.91
Zn1 0.0000 0.0000 0.0000  6 Se 3.30-3.32
Se1 0.2645 0.9395 0.2799  4 Nb 2.61-2.81
Se2 0.7659 0.9397 0.2808  4 Nb 2.62-2.82
Se3 0.4548 0.7189 0.6590  4 Nb 2.61-2.81
Se4 0.9544 0.7201 0.6598  4 Nb 2.61-2.81
Se5 0.1552 0.3402 0.0600  4 Nb 2.61-2.83
Se6 0.6556 0.3411 0.0602  4 Nb 2.61-2.82
Se7 0.2341 0.0603 0.7192  4 Nb 2.62-2.82
Se8 0.7355 0.0605 0.7201  4 Nb 2.61-2.81
Se9 0.0456 0.2799 0.3402  4 Nb 2.61-2.81
Se10 0.5452 0.2811 0.3410  4 Nb 2.61-2.81
Se11 0.3444 0.6589 0.9398  4 Nb 2.61-2.82
Se12 0.8448 0.6598 0.9400  4 Nb 2.61-2.83
Se13 0.4584 0.3333 0.6663  6 Nb 2.71-2.73
Se14 0.9587 0.3331 0.6665  6 Nb 2.71-2.73
Se15 0.0413 0.6669 0.3335  6 Nb 2.71-2.73
Se16 0.5416 0.6667 0.3337  6 Nb 2.71-2.73


Nb3Si | GGA-PBE | relaxed

## Properties
The calculated volume comes out at 68 Å³/cell. The symmetry is Pm-3m (221). The calculated density is 7.48 g/cm3. The total magnetization comes out at 0.0 μB/f.u.

abc: 4.0839 4.0839 4.0839
angles: 90.00 90.00 90.00
Closest atoms and distances in Å follow each position.
Atoms (fractional coordinates):
Nb1 0.0000 0.5000 0.5000  8 Nb 2.89, 4 Si 2.89
Nb2 0.5000 0.5000 0.0000  8 Nb 2.89, 4 Si 2.89
Nb3 0.5000 0.0000 0.5000  8 Nb 2.89, 4 Si 2.89
Si1 0.0000 0.0000 0.0000  12 Nb 2.89


The records above give, respectively, energy of formation from the pure elements values of -1.061, -0.215 eV/atom.
The records above give, respectively, uncorrected energy values of -6.953, -9.166 eV/atom.